# Na2HoTa5O15 PBE optimized geometry
# energy with MP2020 corrections = -9.40 eV/atom
# calculated total energy = -8.955 eV per atom
# spin magnetization = 0.0 μB per cell
# crystal system = tetragonal
# E_form = -3.2843 eV/atom
data_Na2HoTa5O15
_cell_length_a 12.5848
_cell_length_b 12.5848
_cell_length_c 3.9219
_cell_angle_alpha 90.00
_cell_angle_beta 90.00
_cell_angle_gamma 90.00
_symmetry_space_group_name_H-M 'P 4/m b m'
_symmetry_Int_Tables_number 127
_symmetry_space_group_name_Hall '-P 4 2ab'
loop_
_atom_site_label
_atom_site_type_symbol
_atom_site_fract_x
_atom_site_fract_y
_atom_site_fract_z
Na1 Na 0.1721 0.3279 0.0000
Ho1 Ho 0.0000 0.0000 0.0000
Ta1 Ta 0.0000 0.5000 0.5000
Ta2 Ta 0.0787 0.7887 0.5000
O1 O 0.0000 0.5000 0.0000
O2 O 0.0020 0.3409 0.5000
O3 O 0.0572 0.1305 0.5000
O4 O 0.0799 0.8131 0.0000
O5 O 0.2238 0.7238 0.5000

***

# NaHoS2 PBE optimized geometry
# energy with MP2020 corrections = -5.64 eV/atom
# calculated total energy = -5.391 eV per atom
# crystal system = trigonal
# E_form = -2.0976 eV/atom
data_NaHoS2
_cell_length_a 3.9684
_cell_length_b 3.9684
_cell_length_c 19.9439
_cell_angle_alpha 90.00
_cell_angle_beta 90.00
_cell_angle_gamma 120.00
_symmetry_space_group_name_H-M 'R -3 m'
_symmetry_Int_Tables_number 166
_symmetry_space_group_name_Hall '-R 3 2"'
loop_
_atom_site_label
_atom_site_type_symbol
_atom_site_fract_x
_atom_site_fract_y
_atom_site_fract_z
Na1 Na 0.0000 0.0000 0.0000
Ho1 Ho 0.0000 0.0000 0.5000
S1 S 0.0000 0.0000 0.2424